# LiMn4O8 (GGA+U, relaxed)
data_LiMn4O8
_chemical_formula_sum 'Li1 Mn4 O8'
_symmetry_space_group_name_H-M 'P 1'
_symmetry_Int_Tables_number 1
_symmetry_space_group_name_Hall 'P 1'
_cell_length_a 5.908
_cell_length_b 5.908
_cell_length_c 5.908
_cell_angle_alpha 60.00
_cell_angle_beta 60.00
_cell_angle_gamma 60.00
loop_
_atom_site_label
_atom_site_fract_x
_atom_site_fract_y
_atom_site_fract_z
Li1 0.000 0.000 0.000
Mn1 0.128 0.624 0.624
Mn2 0.624 0.128 0.624
Mn3 0.624 0.624 0.128
Mn4 0.624 0.624 0.624
O1 0.390 0.390 0.390
O2 0.390 0.390 0.829
O3 0.390 0.829 0.390
O4 0.416 0.861 0.861
O5 0.829 0.390 0.390
O6 0.861 0.416 0.861
O7 0.861 0.861 0.416
O8 0.861 0.861 0.861
# E (MP2020), eV/atom: -7.92
# Calculated volume, Å³/atom: 11.21
# Space-group type: F-43m, No. 216
# Energy above the lowest structure with this stoichiometry, eV per atom: 0.019